This record from the Materials Project describes a geometry-optimized Mg5Si6 structure. The functional is GGA-PBE.

Output
final energy = -78.6 eV for the cell shown
space group = Cm
E_form = 0.15 eV per atom

Unit cell a=13.8224 b=13.8224 c=7.8351 alpha=92.50 beta=92.50 gamma=16.03
Fractional coordinates of all 22 atoms:
Mg 0.0000 0.0000 0.0000
Mg 0.0008 0.0008 0.4402
Mg 0.2014 0.2014 0.0568
Mg 0.4124 0.4124 0.5237
Mg 0.6047 0.6047 0.5225
Mg 0.6098 0.6098 0.9495
Mg 0.7264 0.7264 0.7367
Mg 0.7356 0.7356 0.3520
Mg 0.8547 0.8547 0.8090
Mg 0.8884 0.8884 0.1690
Si 0.0585 0.0585 0.7335
Si 0.1092 0.1092 0.2221
Si 0.1511 0.1511 0.7364
Si 0.1740 0.1740 0.4434
Si 0.2913 0.2913 0.5413
Si 0.3098 0.3098 0.2279
Si 0.4258 0.4258 0.9153
Si 0.4607 0.4607 0.2124
Si 0.4961 0.4961 0.7228
Si 0.5498 0.5498 0.2267
Si 0.7808 0.7808 0.0498
Si 0.8436 0.8436 0.4710

***

This record from the Materials Project describes a geometry-optimized Mg4Si7 structure. The functional is GGA-PBE.

Output
final energy = -86.2 eV for the cell shown
space group = P1
E_form = 0.16 eV per atom

Unit cell a=4.2658 b=7.1277 c=13.6544 alpha=87.19 beta=84.17 gamma=83.13
Fractional coordinates of all 22 atoms:
Mg 0.0000 0.0000 0.0000
Mg 0.0087 0.4911 0.0804
Mg 0.4705 0.7928 0.1492
Mg 0.5287 0.9837 0.8144
Mg 0.6326 0.5602 0.7409
Mg 0.8980 0.9079 0.4678
Mg 0.9168 0.0779 0.2313
Mg 0.9475 0.6187 0.3069
Si 0.0545 0.6830 0.8686
Si 0.0986 0.8445 0.7008
Si 0.1060 0.3320 0.8517
Si 0.1664 0.5821 0.5944
Si 0.2434 0.2753 0.6770
Si 0.3599 0.2197 0.3728
Si 0.4032 0.8889 0.3384
Si 0.4490 0.1800 0.0977
Si 0.4898 0.4074 0.2223
Si 0.5275 0.6863 0.9603
Si 0.5720 0.3384 0.9398
Si 0.6815 0.5892 0.5093
Si 0.8037 0.1353 0.6263
Si 0.8118 0.2864 0.4551

***

This record from the Materials Project describes a geometry-optimized Mg5Si6 structure. The functional is GGA-PBE.

Output
final energy = -40.3 eV for the cell shown
space group = C2/m
E_form = 0.07 eV per atom

Unit cell a=7.9355 b=7.9355 c=6.9595 alpha=110.09 beta=110.09 gamma=29.31
Fractional coordinates of all 11 atoms:
Mg 0.0000 0.0000 0.0000
Mg 0.3437 0.3437 0.0643
Mg 0.4229 0.4229 0.6288
Mg 0.5771 0.5771 0.3712
Mg 0.6563 0.6563 0.9357
Si 0.0578 0.0578 0.6695
Si 0.1924 0.1924 0.2587
Si 0.2066 0.2066 0.6301
Si 0.7934 0.7934 0.3699
Si 0.8076 0.8076 0.7413
Si 0.9422 0.9422 0.3305

***

This record from the Materials Project describes a geometry-optimized Mg4Si3 structure. The functional is GGA-PBE.

Output
final energy = -44.7 eV for the cell shown
space group = P1
E_form = 0.08 eV per atom

Unit cell a=5.2034 b=7.1983 c=7.7400 alpha=94.26 beta=101.73 gamma=101.90
Fractional coordinates of all 14 atoms:
Mg 0.0000 0.0000 0.0000
Mg 0.0066 0.5297 0.8813
Mg 0.0860 0.5241 0.4962
Mg 0.1768 0.0639 0.4343
Mg 0.4392 0.2494 0.8302
Mg 0.6139 0.8198 0.5853
Mg 0.6517 0.1652 0.2350
Mg 0.6990 0.6021 0.1638
Si 0.1544 0.8525 0.7129
Si 0.1867 0.3584 0.1867
Si 0.2634 0.7610 0.2195
Si 0.4752 0.8644 0.9805
Si 0.5492 0.4368 0.4667
Si 0.8024 0.2089 0.6132

***

| no. | calculated volume (Å³/f.u.) |
| --- | --- |
| 1 | 206.5 |
| 2 | 204.9 |
| 3 | 200.5 |
| 4 | 137.8 |